Here is crystalline K3Na5V2Mo6O20 at its relaxed geometry from the Materials Project database. Energies are from GGA+U.

Values from the calculation:
**V**: 13.97 Å³ per atom
**Formation energy**: -1.979 eV/atom
**SG**: P1, No. 1

Lattice parameters (Å, degrees): 11.4044 11.7003 17.0891 109.85 109.04 90.07
Atoms (fractional coordinates):
K1 0.0000 0.0000 0.0000
K2 0.9999 0.4963 0.9998
K3 0.1042 0.5823 0.7118
K4 0.1163 0.0903 0.2332
K5 0.2496 0.2306 0.0000
K6 0.2520 0.7291 0.0016
K7 0.3666 0.8692 0.2334
K8 0.5012 0.9989 0.9994
K9 0.5017 0.4986 0.0003
K10 0.6159 0.5913 0.2336
K11 0.7492 0.7295 0.0002
K12 0.7505 0.2293 0.9997
Na1 0.1039 0.0750 0.7032
Na2 0.1051 0.5846 0.2217
Na3 0.2444 0.2236 0.5001
Na4 0.2451 0.7230 0.4994
Na5 0.3542 0.8564 0.7030
Na6 0.3547 0.3557 0.7036
Na7 0.3549 0.3640 0.2208
Na8 0.4945 0.5036 0.4987
Na9 0.4954 0.0052 0.5005
Na10 0.6045 0.5750 0.7038
Na11 0.6046 0.0752 0.7037
Na12 0.6049 0.0852 0.2213
Na13 0.7446 0.2226 0.4991
Na14 0.7447 0.7236 0.5003
Na15 0.8543 0.8562 0.7031
Na16 0.8541 0.8645 0.2210
Na17 0.8552 0.3569 0.7037
Na18 0.8557 0.3642 0.2211
Na19 0.9940 0.0035 0.4981
Na20 0.9943 0.5038 0.4969
V1 0.1983 0.8782 0.3657
V2 0.2028 0.3853 0.3638
V3 0.4500 0.7094 0.3675
V4 0.4542 0.2133 0.3626
V5 0.7018 0.3780 0.3624
V6 0.7039 0.8852 0.3642
V7 0.9493 0.2113 0.3638
V8 0.9514 0.7073 0.3607
Mo1 0.0405 0.7915 0.6014
Mo2 0.0406 0.2895 0.6029
Mo3 0.0532 0.2988 0.1186
Mo4 0.0528 0.7964 0.1183
Mo5 0.2074 0.3788 0.8519
Mo6 0.2069 0.8899 0.8510
Mo7 0.2909 0.0405 0.6040
Mo8 0.2924 0.5396 0.6024
Mo9 0.3028 0.0481 0.1162
Mo10 0.3037 0.5475 0.1184
Mo11 0.4565 0.1936 0.8497
Mo12 0.4578 0.6947 0.8490
Mo13 0.5414 0.2916 0.6037
Mo14 0.5417 0.7916 0.6051
Mo15 0.5529 0.2966 0.1179
Mo16 0.5537 0.7982 0.1170
Mo17 0.7045 0.8865 0.8505
Mo18 0.7059 0.3834 0.8497
Mo19 0.7915 0.0407 0.6040
Mo20 0.7906 0.5399 0.6027
Mo21 0.8040 0.0486 0.1194
Mo22 0.8039 0.5473 0.1179
Mo23 0.9512 0.6987 0.8544
Mo24 0.9548 0.1936 0.8494
O1 0.0916 0.3878 0.7440
O2 0.0962 0.9013 0.7425
O3 0.1143 0.2578 0.3735
O4 0.1141 0.7462 0.8550
O5 0.1162 0.2207 0.8388
O6 0.1159 0.7376 0.3636
O7 0.1205 0.3956 0.2589
O8 0.1231 0.8853 0.2595
O9 0.1565 0.9084 0.5851
O10 0.1583 0.4041 0.5840
O11 0.1731 0.9153 0.1053
O12 0.1754 0.4195 0.1110
O13 0.1755 0.1745 0.6203
O14 0.1761 0.6759 0.6143
O15 0.1823 0.6759 0.1298
O16 0.1848 0.1810 0.1283
O17 0.2166 0.0061 0.4645
O18 0.2265 0.5105 0.4644
O19 0.2281 0.4892 0.9695
O20 0.2307 0.9960 0.9713
O21 0.3450 0.0682 0.7448
O22 0.3521 0.5672 0.7430
O23 0.3634 0.8463 0.3759
O24 0.3638 0.8396 0.8383
O25 0.3654 0.3494 0.3624
O26 0.3679 0.3409 0.8398
O27 0.3727 0.0997 0.2579
O28 0.3749 0.5952 0.2603
O29 0.4074 0.9066 0.5867
O30 0.4080 0.4069 0.5851
O31 0.4227 0.4164 0.1081
O32 0.4257 0.1732 0.6204
O33 0.4261 0.9208 0.1070
O34 0.4280 0.6739 0.6233
O35 0.4337 0.6763 0.1258
O36 0.4346 0.1800 0.1313
O37 0.4719 0.1880 0.4633
O38 0.4717 0.6820 0.4670
O39 0.4780 0.2070 0.9694
O40 0.4792 0.7084 0.9688
O41 0.5936 0.9055 0.7449
O42 0.5952 0.4033 0.7439
O43 0.6122 0.7597 0.3740
O44 0.6167 0.2254 0.8384
O45 0.6177 0.3867 0.2582
O46 0.6184 0.7271 0.8392
O47 0.6190 0.2399 0.3637
O48 0.6236 0.8947 0.2584
O49 0.6576 0.4080 0.5864
O50 0.6576 0.9079 0.5867
O51 0.6754 0.4145 0.1072
O52 0.6758 0.1763 0.6210
O53 0.6765 0.6761 0.6216
O54 0.6755 0.9195 0.1105
O55 0.6851 0.1792 0.1335
O56 0.6863 0.6803 0.1287
O57 0.7194 0.5035 0.4627
O58 0.7257 0.0101 0.4647
O59 0.7274 0.9910 0.9707
O60 0.7294 0.4899 0.9695
O61 0.8444 0.0679 0.7442
O62 0.8509 0.5714 0.7443
O63 0.8637 0.8436 0.8384
O64 0.8651 0.3491 0.3619
O65 0.8646 0.8450 0.3610
O66 0.8659 0.3406 0.8384
O67 0.8719 0.5869 0.2581
O68 0.8745 0.0913 0.2600
O69 0.9058 0.4048 0.5839
O70 0.9072 0.9073 0.5851
O71 0.9217 0.6734 0.6154
O72 0.9232 0.9171 0.1088
O73 0.9251 0.1714 0.6195
O74 0.9255 0.4202 0.1098
O75 0.9327 0.1814 0.1308
O76 0.9357 0.6805 0.1342
O77 0.9675 0.1859 0.4639
O78 0.9694 0.6872 0.4624
O79 0.9720 0.7035 0.9714
O80 0.9772 0.2098 0.9699